(1)
# SmDyIn2

An optimized crystal structure of SmDyIn2 (PBE, Materials Project).

Cell: 5.3765 5.3765 5.3765 Å, 60.00 60.00 60.00°
Atoms (fractional coordinates):
1 Sm 0.0000 0.0000 0.0000
2 Dy 0.5000 0.5000 0.5000
3 In 0.2500 0.2500 0.2500
4 In 0.7500 0.7500 0.7500

Output
Calculated formation energy in meV per atom: -471
E in eV per atom: -4.18

=====

(2)
# Dy2TlIn

An optimized crystal structure of Dy2TlIn (PBE, Materials Project).

Cell: 5.3527 5.3527 5.3527 Å, 60.00 60.00 60.00°
Atoms (fractional coordinates):
1 Dy 0.2500 0.2500 0.2500
2 Dy 0.7500 0.7500 0.7500
3 Tl 0.0000 0.0000 0.0000
4 In 0.5000 0.5000 0.5000

Output
Calculated formation energy in meV per atom: -396
E in eV per atom: -3.98

=====

(3)
# DyYIn2

An optimized crystal structure of DyYIn2 (PBE, Materials Project).

Cell: 5.3356 5.3356 5.3356 Å, 60.00 60.00 60.00°
Atoms (fractional coordinates):
1 Dy 0.0000 0.0000 0.0000
2 Y 0.5000 0.5000 0.5000
3 In 0.2500 0.2500 0.2500
4 In 0.7500 0.7500 0.7500

Output
Calculated formation energy in meV per atom: -474
E in eV per atom: -4.62

=====

(4)
# DyZnIn

An optimized crystal structure of DyZnIn (PBE, Materials Project).

Cell: 4.6801 4.6801 7.2601 Å, 90.00 90.00 120.00°
Atoms (fractional coordinates):
1 Dy 0.0000 0.0000 0.0000
2 Dy 0.0000 0.0000 0.5000
3 Zn 0.3333 0.6667 0.2500
4 Zn 0.6667 0.3333 0.7500
5 In 0.3333 0.6667 0.7500
6 In 0.6667 0.3333 0.2500

Output
Calculated formation energy in meV per atom: -432
E in eV per atom: -3.30

=====

(5)
# Dy4Ir

An optimized crystal structure of Dy4Ir (PBE, Materials Project).

Cell: 7.6676 7.6676 7.6676 Å, 60.00 60.00 60.00°
Atoms (fractional coordinates):
1 Dy 0.2091 0.7636 0.7636
2 Dy 0.2364 0.2364 0.2364
3 Dy 0.2364 0.2364 0.7909
4 Dy 0.2364 0.7909 0.2364
5 Dy 0.7636 0.2091 0.7636
6 Dy 0.7636 0.7636 0.2091
7 Dy 0.7636 0.7636 0.7636
8 Dy 0.7909 0.2364 0.2364
9 Ir 0.3750 0.3750 0.3750
10 Ir 0.6250 0.6250 0.6250

Output
Calculated formation energy in meV per atom: 104
E in eV per atom: -5.35

=====

(6)
# Dy5Ir3

An optimized crystal structure of Dy5Ir3 (PBE, Materials Project).

Cell: 10.9045 10.9045 6.3479 Å, 90.00 90.00 90.00°
Atoms (fractional coordinates):
1 Dy 0.0414 0.1615 0.1218
2 Dy 0.0414 0.3385 0.6218
3 Dy 0.1615 0.0414 0.6218
4 Dy 0.1615 0.4586 0.1218
5 Dy 0.2500 0.7500 0.0000
6 Dy 0.2500 0.7500 0.5000
7 Dy 0.3385 0.0414 0.1218
8 Dy 0.3385 0.4586 0.6218
9 Dy 0.4586 0.1615 0.6218
10 Dy 0.4586 0.3385 0.1218
11 Dy 0.5414 0.6615 0.8782
12 Dy 0.5414 0.8385 0.3782
13 Dy 0.6615 0.5414 0.3782
14 Dy 0.6615 0.9586 0.8782
15 Dy 0.7500 0.2500 0.0000
16 Dy 0.7500 0.2500 0.5000
17 Dy 0.8385 0.5414 0.8782
18 Dy 0.8385 0.9586 0.3782
19 Dy 0.9586 0.6615 0.3782
20 Dy 0.9586 0.8385 0.8782
21 Ir 0.0966 0.5966 0.7500
22 Ir 0.0966 0.9034 0.2500
23 Ir 0.2500 0.2500 0.3765
24 Ir 0.2500 0.2500 0.8765
25 Ir 0.4034 0.5966 0.2500
26 Ir 0.4034 0.9034 0.7500
27 Ir 0.5966 0.0966 0.2500
28 Ir 0.5966 0.4034 0.7500
29 Ir 0.7500 0.7500 0.1235
30 Ir 0.7500 0.7500 0.6235
31 Ir 0.9034 0.0966 0.7500
32 Ir 0.9034 0.4034 0.2500

Output
Calculated formation energy in meV per atom: -814
E in eV per atom: -7.01

=====

(7)
# Dy3Ir

An optimized crystal structure of Dy3Ir (PBE, Materials Project).

Cell: 7.2596 9.2627 6.3702 Å, 90.00 90.00 90.00°
Atoms (fractional coordinates):
1 Dy 0.0345 0.2500 0.1328
2 Dy 0.1770 0.0628 0.6719
3 Dy 0.1770 0.4372 0.6719
4 Dy 0.3230 0.5628 0.1719
5 Dy 0.3230 0.9372 0.1719
6 Dy 0.4655 0.7500 0.6328
7 Dy 0.5345 0.2500 0.3672
8 Dy 0.6770 0.0628 0.8281
9 Dy 0.6770 0.4372 0.8281
10 Dy 0.8230 0.5628 0.3281
11 Dy 0.8230 0.9372 0.3281
12 Dy 0.9655 0.7500 0.8672
13 Ir 0.1175 0.7500 0.4514
14 Ir 0.3825 0.2500 0.9514
15 Ir 0.6175 0.7500 0.0486
16 Ir 0.8825 0.2500 0.5486

Output
Calculated formation energy in meV per atom: -583
E in eV per atom: -6.25

=====

(8)
# Dy5Ir3

An optimized crystal structure of Dy5Ir3 (PBE, Materials Project).

Cell: 8.3301 8.3301 6.2314 Å, 90.00 90.00 120.00°
Atoms (fractional coordinates):
1 Dy 0.0000 0.2591 0.2500
2 Dy 0.0000 0.7409 0.7500
3 Dy 0.2591 0.0000 0.2500
4 Dy 0.2591 0.2591 0.7500
5 Dy 0.3333 0.6667 0.0000
6 Dy 0.3333 0.6667 0.5000
7 Dy 0.6667 0.3333 0.0000
8 Dy 0.6667 0.3333 0.5000
9 Dy 0.7409 0.0000 0.7500
10 Dy 0.7409 0.7409 0.2500
11 Ir 0.0000 0.3905 0.7500
12 Ir 0.0000 0.6095 0.2500
13 Ir 0.3905 0.0000 0.7500
14 Ir 0.3905 0.3905 0.2500
15 Ir 0.6095 0.0000 0.2500
16 Ir 0.6095 0.6095 0.7500

Output
Calculated formation energy in meV per atom: -775
E in eV per atom: -6.97

=====

Q: What is the calculated formation energy in the eighth record?
A: -775 meV per atom

=====

Q: Among the records above, which one has the highest E?
A: DyZnIn

=====

Q: Look up the E of the second one.
A: -3.98 eV per atom

=====

Q: The highest E belongs to which entry?
A: DyZnIn